1.
VASP calculation (PBE) on an optimized crystal structure of Gd2S3.

```
Gd2S3
1.0
10.769 0.000 0.000
0.000 3.924 0.000
0.000 0.000 10.559
Gd S
8 12
direct
0.009 0.250 0.186
0.191 0.250 0.505
0.309 0.750 0.005
0.491 0.750 0.686
0.509 0.250 0.314
0.691 0.250 0.995
0.809 0.750 0.495
0.991 0.750 0.814
0.047 0.750 0.373
0.120 0.250 0.944
0.228 0.750 0.697
0.272 0.250 0.197
0.380 0.750 0.444
0.453 0.250 0.873
0.547 0.750 0.127
0.620 0.250 0.556
0.728 0.750 0.803
0.772 0.250 0.303
0.880 0.750 0.056
0.953 0.250 0.627
```

## Properties
volume: 111.5 Å³/f.u.
ΔH_f (0 K): -2.381 eV per atom

***

2.
VASP calculation (PBE) on an optimized crystal structure of Gd2S3.

```
Gd2S3
1.0
-4.207 4.207 12.604
4.207 -4.207 12.604
4.207 4.207 -12.604
Gd S
16 24
direct
0.048 0.151 0.621
0.166 0.166 0.000
0.177 0.780 0.879
0.220 0.099 0.397
0.256 0.625 0.131
0.375 0.506 0.631
0.494 0.125 0.869
0.530 0.427 0.379
0.573 0.952 0.103
0.584 0.084 0.500
0.702 0.823 0.603
0.834 0.834 0.000
0.849 0.470 0.897
0.875 0.744 0.369
0.901 0.298 0.121
0.916 0.416 0.500
0.002 0.756 0.890
0.074 0.462 0.246
0.172 0.926 0.388
0.188 0.439 0.093
0.189 0.438 0.593
0.212 0.324 0.746
0.216 0.828 0.754
0.244 0.134 0.247
0.346 0.095 0.907
0.404 0.811 0.249
0.506 0.252 0.390
0.534 0.788 0.112
0.538 0.784 0.612
0.561 0.654 0.749
0.562 0.155 0.751
0.578 0.466 0.254
0.676 0.422 0.888
0.748 0.138 0.253
0.845 0.596 0.407
0.862 0.116 0.610
0.866 0.112 0.110
0.884 0.494 0.747
0.888 0.998 0.753
0.905 0.812 0.251
```

## Properties
volume: 111.6 Å³/f.u.
ΔH_f (0 K): -2.359 eV per atom

***

3.
VASP calculation (PBE) on an optimized crystal structure of Gd2S3.

```
Gd2S3
1.0
7.431 0.000 0.000
0.000 3.932 0.000
0.000 0.000 15.248
Gd S
8 12
direct
0.127 0.250 0.208
0.233 0.750 0.459
0.267 0.250 0.959
0.373 0.750 0.708
0.627 0.250 0.292
0.733 0.750 0.041
0.767 0.250 0.541
0.873 0.750 0.792
0.010 0.250 0.393
0.121 0.750 0.070
0.160 0.250 0.781
0.340 0.750 0.281
0.379 0.250 0.570
0.490 0.750 0.893
0.510 0.250 0.107
0.621 0.750 0.430
0.660 0.250 0.719
0.840 0.750 0.219
0.879 0.250 0.930
0.990 0.750 0.607
```

## Properties
volume: 111.4 Å³/f.u.
ΔH_f (0 K): -2.376 eV per atom

***

4.
VASP calculation (PBE) on an optimized crystal structure of GdS.

```
GdS
1.0
0.000 2.794 2.794
2.794 0.000 2.794
2.794 2.794 0.000
Gd S
1 1
direct
0.000 0.000 0.000
0.500 0.500 0.500
```

## Properties
volume: 43.6 Å³/f.u.
ΔH_f (0 K): -2.312 eV per atom

***

5.
VASP calculation (PBE) on an optimized crystal structure of Gd10S19.

```
Gd10S19
1.0
8.746 0.000 0.000
0.000 8.746 0.000
0.000 0.000 15.879
Gd S
20 38
direct
0.041 0.349 0.122
0.054 0.354 0.603
0.146 0.054 0.897
0.151 0.041 0.378
0.250 0.750 0.114
0.250 0.750 0.614
0.349 0.459 0.378
0.354 0.446 0.897
0.446 0.146 0.603
0.459 0.151 0.122
0.541 0.849 0.878
0.554 0.854 0.397
0.646 0.554 0.103
0.651 0.541 0.622
0.750 0.250 0.386
0.750 0.250 0.886
0.849 0.959 0.622
0.854 0.946 0.103
0.946 0.646 0.397
0.959 0.651 0.878
0.028 0.805 0.250
0.049 0.348 0.427
0.054 0.351 0.938
0.074 0.885 0.750
0.115 0.574 0.250
0.149 0.054 0.562
0.152 0.049 0.073
0.195 0.528 0.750
0.250 0.250 0.250
0.250 0.750 0.434
0.250 0.750 0.934
0.305 0.972 0.750
0.348 0.451 0.073
0.351 0.446 0.562
0.385 0.926 0.250
0.426 0.615 0.750
0.446 0.149 0.938
0.451 0.152 0.427
0.472 0.695 0.250
0.528 0.305 0.750
0.549 0.848 0.573
0.554 0.851 0.062
0.574 0.385 0.250
0.615 0.074 0.750
0.649 0.554 0.438
0.652 0.549 0.927
0.695 0.028 0.250
0.750 0.250 0.066
0.750 0.250 0.566
0.750 0.750 0.750
0.805 0.472 0.250
0.848 0.951 0.927
0.851 0.946 0.438
0.885 0.426 0.750
0.926 0.115 0.250
0.946 0.649 0.062
0.951 0.652 0.573
0.972 0.195 0.750
```

## Properties
volume: 607.4 Å³/f.u.
ΔH_f (0 K): -2.131 eV per atom

***

6.
VASP calculation (PBE) on an optimized crystal structure of Gd3Sc2S7.

```
Gd3Sc2S7
1.0
6.249 -1.899 0.000
6.249 1.899 0.000
-2.996 0.000 11.094
Gd Sc S
3 2 7
direct
0.000 0.000 0.000
0.305 0.305 0.203
0.695 0.695 0.797
0.112 0.112 0.430
0.888 0.888 0.570
0.029 0.029 0.774
0.264 0.264 0.636
0.337 0.337 0.946
0.500 0.500 0.500
0.663 0.663 0.054
0.736 0.736 0.364
0.971 0.971 0.226
```

## Properties
volume: 263.2 Å³/f.u.
ΔH_f (0 K): -2.318 eV per atom

***

Please write out number 4 again, unchanged.
VASP calculation (PBE) on an optimized crystal structure of GdS.

```
GdS
1.0
0.000 2.794 2.794
2.794 0.000 2.794
2.794 2.794 0.000
Gd S
1 1
direct
0.000 0.000 0.000
0.500 0.500 0.500
```

## Properties
volume: 43.6 Å³/f.u.
ΔH_f (0 K): -2.312 eV per atom